No. 1
A plane-wave DFT calculation with PBE was carried out for crystalline Eu3Si4 at its relaxed geometry.

Lattice parameters (Å, degrees): 9.6468 9.6468 9.6468 156.27 36.51 152.66
Positions (direct):
Eu  0.0000  0.0000  0.0000
Eu  0.1825  0.4976  0.6849
Eu  0.8127  0.4976  0.3151
Si  0.3565  0.4948  0.8617
Si  0.4506  0.0152  0.4353
Si  0.5799  0.0152  0.5647
Si  0.6331  0.4948  0.1383

Summary:
Magnetic moment, μB/f.u.: 21.72
Final energy, eV/f.u.: -56.5


No. 2
A plane-wave DFT calculation with PBE was carried out for crystalline BaAlO3 at its relaxed geometry.

Lattice parameters (Å, degrees): 3.9569 3.9569 3.9569 90.00 90.00 90.00
Positions (direct):
Ba  0.0000  0.0000  0.0000
Al  0.5000  0.5000  0.5000
O  0.0000  0.5000  0.5000
O  0.5000  0.0000  0.5000
O  0.5000  0.5000  0.0000

Summary:
Magnetic moment, μB/f.u.: 1.00
Final energy, eV/f.u.: -32.9